A relaxed structure of KNdO2, computed with PBE-GGA.

Output
Its crystal system is trigonal. Its space group is R-3m. The calculation puts the total energy at -6.556 eV/atom. The calculation puts the formation energy at -11.82 eV/f.u.

a = 3.6478 Å, b = 3.6478 Å, c = 18.8740 Å
α = 90.00°, β = 90.00°, γ = 120.00°
Last column: nearest neighbours and their distance in Å.
Atoms (fractional coordinates):
1 K 0.0000 0.0000 0.0000  6 O 2.87
2 K 0.3333 0.6667 0.6667  6 O 2.87
3 K 0.6667 0.3333 0.3333  6 O 2.87
4 Nd 0.0000 0.0000 0.5000  6 O 2.42
5 Nd 0.3333 0.6667 0.1667  6 O 2.42
6 Nd 0.6667 0.3333 0.8333  6 O 2.42
7 O 0.0000 0.0000 0.2303  3 Nd 2.42
8 O 0.0000 0.0000 0.7697  3 Nd 2.42
9 O 0.3333 0.6667 0.4364  3 Nd 2.42
10 O 0.3333 0.6667 0.8969  3 Nd 2.42
11 O 0.6667 0.3333 0.1031  3 Nd 2.42
12 O 0.6667 0.3333 0.5636  3 Nd 2.42